DFT (r2SCAN) results for CrCo3 after structural relaxation.

Results
* total moment: 2.493 μB per cell
* relative energy among the computed polymorphs: 0.0000 eV per atom
* space-group type: P6_3/mmc (194)
* crystal system: hexagonal
* ΔH_f (0 K): 137 meV/atom

a b c (Å): 4.071 5.018 5.018
angles (deg): 120.00 90.00 90.00
Positions (direct):
Co: 0.750 0.677 0.839
Co: 0.250 0.323 0.161
Co: 0.750 0.161 0.323
Co: 0.250 0.839 0.161
Co: 0.750 0.161 0.839
Co: 0.250 0.839 0.677
Cr: 0.750 0.667 0.333
Cr: 0.250 0.333 0.667